Here is a geometry-optimized K2CuSb structure from the Materials Project database. Energies are from r2SCAN.

Output
Calculated density ... 3.4 g cm⁻³
Energy relative to the elements ... -39.10 kJ/mol of atoms

Lattice parameters (Å, degrees): 6.5985 6.5985 6.2212 90.00 90.00 73.56
With the nearest neighbours (Å) after each atom.
Positions (direct):
K (0.0111, 0.3249, 0.2500)  3 K 3.55-3.85, 4 Sb 3.58-3.69, 2 Cu 3.59
K (0.3249, 0.0111, 0.7500)  3 K 3.55-3.85, 4 Sb 3.58-3.69, 2 Cu 3.59
K (0.6751, 0.9889, 0.2500)  3 K 3.55-3.85, 4 Sb 3.58-3.69, 2 Cu 3.59
K (0.9889, 0.6751, 0.7500)  3 K 3.55-3.85, 4 Sb 3.58-3.69, 2 Cu 3.59
Cu (0.5000, 0.5000, 0.0000)  2 Sb 2.50
Cu (0.5000, 0.5000, 0.5000)  2 Sb 2.50
Sb (0.2523, 0.7477, 0.2500)  2 Cu 2.50
Sb (0.7477, 0.2523, 0.7500)  2 Cu 2.50